A relaxed Sr3Ga2Cl2O5 crystal. Source: the Materials Project database, functional GGA-PBE.

Geometry as extended XYZ:
```
48
Lattice="9.668 0.000 0.000 0.000 9.670 0.000 0.000 0.000 9.679" Properties=species:S:1:pos:R:3 pbc="T T T"
O 3.987 0.131 7.522
O 2.144 7.341 7.191
O 7.337 2.134 2.299
O 7.433 5.694 9.428
O 4.592 6.963 8.812
O 0.242 2.707 3.972
O 7.069 3.975 4.588
O 2.689 2.329 2.351
O 9.426 7.542 0.867
O 2.599 8.810 0.251
O 0.847 9.539 2.682
O 8.821 4.704 2.157
O 5.076 2.128 5.707
O 2.504 2.701 7.380
O 2.235 0.860 5.091
O 6.978 7.164 2.488
O 7.523 2.506 7.328
O 2.330 6.969 2.540
O 7.164 7.536 7.139
O 5.681 4.966 6.997
Ga 3.306 8.248 8.279
Ga 8.140 6.257 1.400
Ga 6.228 6.340 8.163
Ga 6.361 3.413 6.240
Ga 1.527 1.422 3.439
Ga 8.273 3.330 3.324
Ga 3.440 1.505 6.355
Ga 1.394 8.165 1.516
Cl 5.092 8.906 4.225
Cl 4.576 4.071 0.614
Cl 9.409 0.764 9.065
Cl 0.258 5.598 5.454
Cl 4.003 5.167 4.345
Cl 8.836 9.337 5.334
Cl 5.665 0.332 0.495
Cl 0.831 4.502 9.184
Sr 6.438 0.209 7.093
Sr 9.463 7.287 8.061
Sr 0.205 2.452 6.457
Sr 6.923 6.444 4.854
Sr 4.629 7.217 1.618
Sr 7.578 3.226 0.014
Sr 8.063 9.460 2.254
Sr 2.090 8.061 4.825
Sr 3.230 5.044 7.425
Sr 1.604 4.626 2.586
Sr 5.038 2.383 3.222
Sr 2.744 1.609 9.665
```

20
Lattice="3.543 -8.346 0.000 3.543 8.346 0.000 0.000 0.000 6.867" Properties=species:S:1:pos:R:3 comment="SbC2N2F5 (GGA-PBE, relaxed)" m_tot_mub_per_cell=0.001 pbc="T T T"
F 5.820 -2.413 3.743
F 1.405 -2.397 3.885
F 5.820 2.413 3.124
F 1.405 2.397 2.982
F 3.543 -8.026 1.717
F 5.680 -2.397 6.415
F 3.543 8.026 5.150
F 1.265 -2.413 6.557
F 5.680 2.397 0.452
F 1.265 2.413 0.309
C 3.543 1.363 5.150
C 3.543 -2.728 1.717
C 3.543 2.728 5.150
C 3.543 -1.363 1.717
N 3.543 -0.195 1.717
N 3.543 0.195 5.150
N 3.543 -3.888 1.717
N 3.543 3.888 5.150
Sb 3.543 6.143 5.150
Sb 3.543 -6.143 1.717

16
Lattice="5.123 0.000 0.000 0.000 6.760 0.000 0.000 0.000 11.684" Properties=species:S:1:pos:R:3 comment="SrMg6Zn (GGA-PBE, relaxed)" e_above_lowest_polymorph_mev_per_atom=17 m_tot_mub_per_cell=0.005 pbc="T T T"
Mg 2.562 3.380 7.741
Mg 0.000 3.380 9.707
Mg 0.000 5.203 0.842
Mg 0.000 4.937 6.684
Mg 2.562 5.002 4.917
Mg 0.000 0.000 3.865
Mg 0.000 1.823 6.684
Mg 2.562 5.138 10.759
Mg 2.562 0.000 1.899
Mg 0.000 1.557 0.842
Mg 2.562 1.622 10.759
Mg 2.562 1.758 4.917
Zn 0.000 0.000 9.890
Zn 0.000 3.380 4.048
Sr 2.562 0.000 7.880
Sr 2.562 3.380 2.038

A relaxed Ti7Br16 crystal. Source: the Materials Project database, functional GGA-PBE.

Geometry as extended XYZ:
```
46
Lattice="7.280 0.000 0.000 0.000 10.667 0.000 0.000 0.000 15.474" Properties=species:S:1:pos:R:3 pbc="T T T"
Ti 3.640 5.333 7.737
Ti 2.202 2.741 2.153
Ti 0.000 0.427 11.388
Ti 0.000 0.000 0.000
Ti 0.000 10.240 4.085
Ti 5.078 2.741 2.153
Ti 5.078 7.926 13.321
Ti 1.438 2.593 9.890
Ti 5.842 8.074 5.584
Ti 1.438 8.074 5.584
Ti 3.640 5.760 11.822
Ti 2.202 7.926 13.321
Ti 3.640 4.906 3.652
Ti 5.842 2.593 9.890
Br 5.463 0.126 9.686
Br 3.640 2.912 11.568
Br 3.640 2.454 4.227
Br 1.841 5.297 5.744
Br 1.817 10.541 5.788
Br 5.463 10.541 5.788
Br 0.000 7.933 7.621
Br 5.481 10.631 1.993
Br 0.000 2.422 3.831
Br 1.799 10.631 1.993
Br 0.000 2.582 0.300
Br 1.799 0.036 13.481
Br 3.640 8.067 15.358
Br 1.823 5.208 1.949
Br 0.000 2.880 11.964
Br 5.481 0.036 13.481
Br 3.640 7.755 3.906
Br 5.439 5.369 9.730
Br 1.841 5.369 9.730
Br 5.457 5.208 1.949
Br 0.000 8.084 15.174
Br 3.640 2.600 0.115
Br 0.000 8.245 11.643
Br 3.640 2.751 8.036
Br 5.457 5.459 13.525
Br 3.640 8.213 11.247
Br 1.817 0.126 9.686
Br 5.439 5.297 5.744
Br 1.823 5.459 13.525
Br 3.640 7.916 7.437
Br 0.000 2.734 7.852
Br 0.000 7.787 3.510
```

39
Lattice="-4.537 -8.212 -0.702 -7.909 4.113 3.006 -8.556 0.005 -7.799" Properties=species:S:1:pos:R:3 comment="Li24I10N5 (GGA-PBE, relaxed)" m_tot_mub_per_cell=0.998 pbc="T T T"
Li -10.650 -1.487 2.008
Li -17.353 1.792 -4.962
Li -10.139 -4.418 -6.471
Li -14.448 -5.135 -2.562
Li -13.830 0.227 -6.240
Li -13.998 -2.911 -3.965
Li -9.141 0.265 -2.705
Li -14.514 2.727 -5.488
Li -2.948 1.050 0.583
Li -16.669 -0.708 -5.715
Li -15.065 -2.872 -1.321
Li -7.903 -0.392 -4.976
Li -12.299 1.588 -4.530
Li -5.739 -1.397 -3.413
Li -12.797 -4.685 -0.637
Li -10.175 -6.114 -0.869
Li -11.923 -4.304 -3.029
Li -12.363 -1.982 -1.821
Li -6.617 1.096 -3.172
Li -3.473 -2.924 -0.193
Li -9.479 0.833 0.544
Li -8.441 -2.287 -2.913
Li -7.220 -0.276 -1.079
Li -8.217 -4.487 0.685
I -4.684 -7.790 -0.746
I -13.304 -5.682 -5.150
I -3.695 -0.511 -1.662
I -9.227 -5.037 -3.587
I -15.088 0.566 -3.670
I -9.918 -2.561 -0.510
I -6.159 -2.398 0.876
I -11.084 -1.533 -4.986
I -17.308 -3.583 -3.834
I -11.692 0.869 -1.589
N -13.467 -3.511 -2.166
N -7.649 1.545 -0.159
N -4.403 1.950 1.450
N -9.797 0.173 2.449
N -7.468 -0.642 -3.071

A relaxed GdErO3 crystal. Source: the Materials Project database, functional GGA-PBE.

Geometry as extended XYZ:
```
40
Lattice="4.497 -3.687 -7.231 8.684 -2.102 2.502 4.311 -9.804 -0.258" Properties=species:S:1:pos:R:3 pbc="T T T"
Er 10.844 -6.486 -3.606
Er 7.772 -2.448 0.381
Er 5.681 -3.239 -4.478
Er 12.809 -8.978 -1.097
Er 6.779 -5.822 0.983
Er 12.962 -11.369 -3.723
Er 4.531 -4.223 -1.259
Er 6.650 -9.107 -1.375
O 11.881 -11.038 -1.763
O 9.865 -3.255 0.522
O 12.232 -13.429 -4.234
O 8.913 -6.547 1.609
O 5.476 -5.116 -3.216
O 11.688 -7.870 0.630
O 8.020 -12.660 -5.752
O 5.408 -7.408 -5.348
O 8.657 -6.539 -4.159
O 10.813 -10.932 -4.565
O 4.437 -2.475 -2.664
O 8.816 -9.566 -0.598
O 3.311 -3.011 0.196
O 9.081 -9.322 -6.617
O 7.770 -9.457 -3.302
O 14.983 -12.278 -3.317
O 10.636 -11.200 1.484
O 6.373 -4.107 -6.436
O 10.984 -8.242 -2.207
O 6.713 -4.139 -0.663
O 7.343 -7.035 -0.837
O 11.992 -7.690 -5.109
O 4.646 -8.226 -1.861
O 9.838 -5.587 -1.686
Gd 7.566 -8.243 -5.235
Gd 8.566 -4.857 -5.838
Gd 9.838 -10.253 -2.563
Gd 7.653 -5.341 -2.423
Gd 9.663 -7.449 -0.361
Gd 6.835 -11.527 -4.007
Gd 14.232 -8.227 -4.778
Gd 3.264 -7.365 -0.199
```

A relaxed Sr2AlH7 crystal. Source: the Materials Project database, functional GGA-PBE.

Geometry as extended XYZ:
```
40
Lattice="5.939 -4.729 3.600 7.070 0.704 -4.485 5.274 4.615 3.839" Properties=species:S:1:pos:R:3 pbc="T T T"
H 3.828 0.109 -1.100
H 10.081 1.009 5.899
H 13.401 -0.077 1.925
H 10.115 -1.593 4.155
H 12.143 -0.266 -0.188
H 6.228 -1.677 2.207
H 4.883 0.666 1.028
H 5.099 3.129 3.341
H 12.789 -1.306 4.036
H 6.140 0.855 3.142
H 7.537 1.349 5.084
H 9.357 0.007 0.115
H 8.202 -0.420 -2.945
H 11.766 1.219 3.664
H 10.746 -0.759 -2.131
H 9.334 2.880 0.778
H 8.949 -2.291 2.176
H 6.517 -0.630 -0.711
H 14.456 0.481 4.054
H 5.494 1.895 -1.082
H 13.185 -2.540 -0.388
H 15.722 -0.713 2.246
H 12.055 2.267 0.747
H 8.926 0.582 2.839
H 8.169 2.183 -1.201
H 7.501 2.880 3.087
H 10.783 -2.291 -0.133
H 2.561 1.302 0.707
Sr 10.631 1.600 -1.353
Sr 8.487 -2.089 -1.026
Sr 7.313 1.110 0.960
Sr 5.760 0.259 -2.936
Sr 9.797 2.678 3.980
Sr 10.970 -0.521 1.994
Sr 12.523 0.330 5.889
Sr 7.653 -1.011 4.307
Al 11.959 -1.632 -1.227
Al 4.030 1.561 -0.190
Al 6.324 2.221 4.180
Al 14.254 -0.972 3.144
```

8
Lattice="2.675 5.089 -0.619 -2.880 -2.313 -4.449 -3.827 2.176 1.347" Properties=species:S:1:pos:R:3 comment="CaOs3 (GGA-PBE, relaxed)" m_tot_mub_per_cell=0.000 pbc="T T T"
Os -1.442 0.617 -1.159
Os -1.550 2.084 -3.838
Os -2.590 4.335 -2.563
Os -2.482 2.868 0.116
Os -1.068 5.557 -0.211
Os -2.964 -0.606 -3.510
Ca -0.133 3.166 -1.559
Ca -3.899 1.786 -2.162

ΔH_f (0 K) across the listed records, respectively: -32.56, -13.04, 0.35, -35.21, -30.11, -19.86, -5.23, 3.41 eV/f.u..